(1)
VASP calculation (PBE) on an optimized crystal structure of Er2CuTc.

Cell lengths 6.808, 6.808, 6.808 Å; angles 90.00, 90.00, 90.00 degrees
Space group Fm-3m (No. 225)
Inequivalent atoms, fractional coordinates:
Er  0.250  0.250  0.250 (multiplicity 8)
Cu  0.000  0.000  0.000 (multiplicity 4)
Tc  0.000  0.000  0.500 (multiplicity 4)

Values from the calculation:
**Total moment**: 0.00 μB/atom
**Energy of formation**: -0.137 eV/atom



(2)
VASP calculation (PBE) on an optimized crystal structure of Er7Cu3Te12.

Cell lengths 7.525, 12.858, 14.217 Å; angles 90.00, 99.91, 90.00 degrees
Space group Cm (No. 8)
Inequivalent atoms, fractional coordinates:
Er  0.000  0.000  0.000 (multiplicity 2)
Er  0.001  0.334  0.000 (multiplicity 4)
Er  0.083  0.500  0.745 (multiplicity 2)
Er  0.167  0.334  0.496 (multiplicity 4)
Er  0.168  0.000  0.496 (multiplicity 2)
Cu  0.397  0.000  0.189 (multiplicity 2)
Cu  0.397  0.333  0.189 (multiplicity 4)
Te  0.212  0.167  0.133 (multiplicity 4)
Te  0.213  0.500  0.134 (multiplicity 2)
Te  0.291  0.000  0.875 (multiplicity 2)
Te  0.293  0.332  0.875 (multiplicity 4)
Te  0.376  0.167  0.627 (multiplicity 4)
Te  0.377  0.500  0.627 (multiplicity 2)
Te  0.458  0.000  0.373 (multiplicity 2)
Te  0.459  0.333  0.374 (multiplicity 4)

Values from the calculation:
**Total moment**: 0.00 μB/atom
**Energy of formation**: -1.323 eV/atom



(3)
VASP calculation (PBE) on an optimized crystal structure of ErTmCu2.

Cell lengths 6.815, 6.815, 6.815 Å; angles 90.00, 90.00, 90.00 degrees
Space group Fm-3m (No. 225)
Inequivalent atoms, fractional coordinates:
Er  0.000  0.000  0.000 (multiplicity 4)
Tm  0.000  0.000  0.500 (multiplicity 4)
Cu  0.250  0.250  0.250 (multiplicity 8)

Values from the calculation:
**Energy of formation**: -0.280 eV/atom



(4)
VASP calculation (PBE) on an optimized crystal structure of Er2ZnCu.

Cell lengths 6.989, 6.989, 6.989 Å; angles 90.00, 90.00, 90.00 degrees
Space group Fm-3m (No. 225)
Inequivalent atoms, fractional coordinates:
Er  0.250  0.250  0.250 (multiplicity 8)
Zn  0.000  0.000  0.000 (multiplicity 4)
Cu  0.000  0.000  0.500 (multiplicity 4)

Values from the calculation:
**Energy of formation**: -0.303 eV/atom



Question: Look up the energy of formation of the second one.
Answer: -1.323 eV/atom



Question: Among the records above, which one has the highest energy of formation?
Answer: Er2CuTc